Entry from the Materials Project: PrO2 after structural relaxation (GGA-PBE).

Structure (POSCAR):
```
PrO2
1.0
3.7293 0.0000 0.0000
0.0000 6.3223 0.0000
0.0000 0.0000 7.2696
Pr O
4 8
direct
0.2500 0.2569 0.6112
0.2500 0.7569 0.8888
0.7500 0.7431 0.3888
0.7500 0.2431 0.1112
0.2500 0.1398 0.9217
0.2500 0.6398 0.5783
0.7500 0.8602 0.0783
0.7500 0.3602 0.4217
0.2500 0.0189 0.3341
0.2500 0.5189 0.1659
0.7500 0.9811 0.6659
0.7500 0.4811 0.8341
```

## Properties
ρ	6701	kg/m³
spin magnetization	4.001	μB per cell
energy of formation	-3000	meV/atom

---

Entry from the Materials Project: Pr5O9 after structural relaxation (GGA-PBE).

Structure (POSCAR):
```
Pr5O9
1.0
-5.7075 3.0974 -20.0198
-6.4143 0.6934 1.9359
-2.2303 13.2975 2.6932
Pr O
40 72
direct
0.2921 0.1925 0.7453
0.5000 0.5000 0.0000
0.4918 0.2945 0.7309
0.9082 0.7381 0.2431
0.1109 0.0242 0.4762
0.6138 0.5013 0.5197
0.7079 0.8075 0.2547
0.0918 0.2619 0.7569
0.2053 0.0204 0.0102
0.7921 0.8075 0.7547
0.0082 0.2945 0.2309
0.2052 0.6993 0.7386
0.1882 0.4833 0.5197
0.8862 0.5013 0.0197
0.7947 0.9796 0.9898
0.4124 0.7888 0.7584
0.3862 0.4987 0.4803
0.8891 0.9758 0.5238
0.2947 0.0204 0.5102
0.8118 0.5167 0.4803
0.2948 0.6993 0.2386
0.0000 0.5000 0.5000
0.0000 0.0000 0.0000
0.9124 0.2112 0.7416
0.1138 0.4987 0.9803
0.3118 0.4833 0.0197
0.7948 0.3007 0.2614
0.5082 0.7055 0.2691
0.3891 0.0242 0.9762
0.9918 0.7055 0.7691
0.5000 0.0000 0.5000
0.2079 0.1925 0.2453
0.0876 0.7888 0.2584
0.5918 0.7381 0.7431
0.7053 0.9796 0.4898
0.5876 0.2112 0.2416
0.6109 0.9758 0.0238
0.4082 0.2619 0.2569
0.6882 0.5167 0.9803
0.7052 0.3007 0.7614
0.7043 0.6744 0.4375
0.2043 0.3256 0.0625
0.4957 0.8945 0.0423
0.2939 0.2509 0.9131
0.6961 0.1793 0.9342
0.5994 0.7399 0.9208
0.6004 0.4026 0.7022
0.2920 0.7472 0.4121
0.0965 0.7580 0.0772
0.3985 0.1738 0.4473
0.4979 0.3897 0.5375
0.4035 0.7580 0.5772
0.6005 0.3100 0.0645
0.5001 0.4561 0.1822
0.5999 0.4595 0.3439
0.8996 0.4026 0.2022
0.1961 0.8207 0.5658
0.1974 0.3876 0.7036
0.7061 0.7491 0.0869
0.2957 0.3256 0.5625
0.6971 0.1156 0.2991
0.0001 0.5439 0.3178
0.3032 0.9632 0.3357
0.5043 0.9831 0.6796
0.7957 0.6744 0.9375
0.6968 0.0368 0.6643
0.8029 0.1156 0.7991
0.9979 0.6103 0.9625
0.9001 0.4595 0.8439
0.7920 0.2528 0.0879
0.9957 0.9831 0.1796
0.0043 0.0169 0.8204
0.3995 0.6900 0.9355
0.3996 0.5974 0.2978
0.9999 0.4561 0.6822
0.8039 0.1793 0.4342
0.0999 0.5405 0.1561
0.0021 0.3897 0.0375
0.6014 0.8850 0.2054
0.8986 0.8850 0.7054
0.8995 0.3100 0.5645
0.4957 0.0169 0.3204
0.1014 0.1150 0.2946
0.3039 0.8207 0.0658
0.3029 0.8844 0.7009
0.4006 0.2601 0.0792
0.1005 0.6900 0.4355
0.1015 0.1738 0.9473
0.4999 0.5439 0.8178
0.5021 0.6103 0.4625
0.8026 0.6124 0.2964
0.3026 0.3876 0.2036
0.9035 0.2420 0.9228
0.1971 0.8844 0.2009
0.5965 0.2420 0.4228
0.7939 0.7491 0.5869
0.6015 0.8262 0.5527
0.1004 0.5974 0.7978
0.4001 0.5405 0.6561
0.8032 0.0368 0.1643
0.1968 0.9632 0.8357
0.2080 0.7472 0.9121
0.9006 0.7399 0.4208
0.0043 0.8945 0.5423
0.8985 0.8262 0.0527
0.2061 0.2509 0.4131
0.5043 0.1055 0.9577
0.6974 0.6124 0.7964
0.7080 0.2528 0.5879
0.0994 0.2601 0.5792
0.3986 0.1150 0.7946
0.9957 0.1055 0.4577
```

## Properties
ρ	6083	kg/m³
spin magnetization	0.055	μB per cell
energy above the lowest structure with this stoichiometry	37	meV/atom
energy of formation	-3223	meV/atom

---

Entry from the Materials Project: PrO2 after structural relaxation (GGA-PBE).

Structure (POSCAR):
```
PrO2
1.0
0.0000 2.8625 2.8625
2.8625 0.0000 2.8625
2.8625 2.8625 0.0000
Pr O
1 2
direct
0.0000 0.0000 0.0000
0.2500 0.2500 0.2500
0.7500 0.7500 0.7500
```

## Properties
ρ	6120	kg/m³
spin magnetization	0.999	μB per cell
energy of formation	-3026	meV/atom

---

Entry from the Materials Project: Pr5O9 after structural relaxation (GGA-PBE).

Structure (POSCAR):
```
Pr5O9
1.0
20.2986 0.0000 0.0000
0.0000 6.9485 0.0000
0.0000 2.5641 13.1678
Pr O
40 72
direct
0.1056 0.8708 0.8771
0.5060 0.1216 0.1298
0.3979 0.0897 0.6188
0.8979 0.9103 0.8812
0.7046 0.6160 0.6212
0.5090 0.6391 0.6169
0.6021 0.9103 0.3812
0.8017 0.1154 0.6430
0.9910 0.6391 0.1169
0.3944 0.8708 0.3771
0.8000 0.8363 0.3691
0.0090 0.3609 0.8831
0.5879 0.3871 0.8656
0.9121 0.3871 0.3656
0.1021 0.0897 0.1188
0.4940 0.8784 0.8702
0.3000 0.1637 0.1309
0.3984 0.3671 0.8930
0.0060 0.8784 0.3702
0.7954 0.6160 0.1212
0.1016 0.3671 0.3930
0.6983 0.1154 0.1430
0.8944 0.1292 0.1229
0.1983 0.8846 0.3570
0.4121 0.6129 0.1344
0.6016 0.6329 0.1070
0.4910 0.3609 0.3831
0.3017 0.8846 0.8570
0.6056 0.1292 0.6229
0.8984 0.6329 0.6070
0.1997 0.6280 0.1231
0.2000 0.1637 0.6309
0.0879 0.6129 0.6344
0.3003 0.6280 0.6231
0.7000 0.8363 0.8691
0.2046 0.3840 0.8788
0.8003 0.3720 0.8769
0.2954 0.3840 0.3788
0.9940 0.1216 0.6298
0.6997 0.3720 0.3769
0.6053 0.8210 0.5623
0.3918 0.9300 0.1802
0.2906 0.9326 0.6745
0.5041 0.9484 0.6845
0.9981 0.8209 0.5608
0.4894 0.3186 0.5741
0.1036 0.5648 0.8180
0.0970 0.7774 0.0661
0.5019 0.8209 0.0608
0.1975 0.4801 0.6798
0.1897 0.5494 0.3054
0.7094 0.0674 0.3255
0.9959 0.9484 0.1845
0.2985 0.0792 0.3119
0.3942 0.7035 0.9489
0.1928 0.3232 0.0717
0.7996 0.8393 0.5479
0.1082 0.9300 0.6802
0.7130 0.3006 0.5578
0.7906 0.0674 0.8255
0.0938 0.3068 0.5740
0.3964 0.5648 0.3180
0.9030 0.2226 0.9339
0.2996 0.1607 0.9521
0.8942 0.2965 0.5511
0.2130 0.6994 0.9422
0.4959 0.0516 0.3155
0.3970 0.0949 0.7986
0.8103 0.4506 0.6946
0.9894 0.6814 0.9259
0.1058 0.7035 0.4489
0.0120 0.5569 0.2998
0.3072 0.3232 0.5717
0.3947 0.1790 0.4377
0.8918 0.0700 0.3198
0.7870 0.3006 0.0578
0.1030 0.0949 0.2986
0.8072 0.6768 0.9283
0.9880 0.4431 0.7002
0.4981 0.1791 0.9392
0.6897 0.4506 0.1946
0.0041 0.0516 0.8155
0.0019 0.1791 0.4392
0.6036 0.4352 0.6820
0.5120 0.4431 0.2002
0.8964 0.4352 0.1820
0.2004 0.1607 0.4521
0.8025 0.5199 0.3202
0.3103 0.5494 0.8054
0.5970 0.2226 0.4339
0.6058 0.2965 0.0511
0.5106 0.6814 0.4259
0.6030 0.9051 0.2014
0.4062 0.3068 0.0740
0.1053 0.1790 0.9377
0.7015 0.9208 0.6881
0.6082 0.0700 0.8198
0.6975 0.5199 0.8202
0.9062 0.6932 0.4260
0.8947 0.8210 0.0623
0.0106 0.3186 0.0741
0.4030 0.7774 0.5661
0.2015 0.0792 0.8119
0.2870 0.6994 0.4422
0.8970 0.9051 0.7014
0.5938 0.6932 0.9260
0.7985 0.9208 0.1881
0.3025 0.4801 0.1798
0.4880 0.5569 0.7998
0.2094 0.9326 0.1745
0.6928 0.6768 0.4283
0.7004 0.8393 0.0479
```

## Properties
ρ	6069	kg/m³
spin magnetization	0.411	μB per cell
energy above the lowest structure with this stoichiometry	0	meV/atom
energy of formation	-3259	meV/atom

---

Entry from the Materials Project: Pr11O20 after structural relaxation (GGA-PBE).

Structure (POSCAR):
```
Pr11O20
1.0
6.8967 0.0000 0.0000
-1.0664 6.9543 0.0000
-0.4792 -0.9418 10.7058
Pr O
11 20
direct
0.1830 0.1115 0.3667
0.8170 0.8885 0.6333
0.3661 0.1436 0.7230
0.6339 0.8564 0.2770
0.2717 0.6374 0.5228
0.7283 0.3626 0.4772
0.5291 0.2670 0.0780
0.4709 0.7330 0.9220
0.0000 0.0000 0.0000
0.1271 0.5527 0.1735
0.8729 0.4473 0.8265
0.5403 0.1786 0.2972
0.4597 0.8214 0.7028
0.0407 0.4262 0.3714
0.9593 0.5738 0.6286
0.2021 0.2245 0.1578
0.7979 0.7755 0.8422
0.3714 0.3251 0.5386
0.6286 0.6749 0.4614
0.0354 0.1587 0.7981
0.9646 0.8413 0.2019
0.8504 0.0553 0.4358
0.1496 0.9447 0.5642
0.8746 0.3380 0.0385
0.1254 0.6620 0.9615
0.3329 0.0336 0.9316
0.6671 0.9664 0.0684
0.4684 0.5939 0.1272
0.5316 0.4061 0.8728
0.2934 0.7979 0.3329
0.7066 0.2021 0.6671
```

## Properties
ρ	6047	kg/m³
spin magnetization	6.992	μB per cell
energy of formation	-3265	meV/atom

---

Entry from the Materials Project: Pr9O16 after structural relaxation (GGA-PBE).

Structure (POSCAR):
```
Pr9O16
1.0
-4.1728 2.5162 -4.8621
0.0288 -5.4955 -4.3540
-7.5508 -4.7856 1.9409
Pr O
9 16
direct
0.6719 0.3092 0.6719
0.3281 0.6908 0.3281
0.4087 0.2384 0.1009
0.2300 0.1244 0.5269
0.0000 0.0000 0.0000
0.1072 0.5213 0.7730
0.8928 0.4787 0.2270
0.5913 0.7616 0.8991
0.7700 0.8756 0.4731
0.0708 0.2956 0.0448
0.7793 0.6119 0.7024
0.5277 0.0053 0.6632
0.6465 0.5811 0.4289
0.9292 0.7044 0.9552
0.1242 0.8056 0.5460
0.3535 0.4189 0.5711
0.9743 0.7868 0.2569
0.6681 0.0875 0.9401
0.2207 0.3881 0.2976
0.0257 0.2132 0.7431
0.4237 0.4967 0.8581
0.4723 0.9947 0.3368
0.5763 0.5033 0.1419
0.8758 0.1944 0.4540
0.3319 0.9125 0.0599
```

## Properties
ρ	6077	kg/m³
spin magnetization	4.999	μB per cell
energy of formation	-3313	meV/atom

---

Entry from the Materials Project: Sr2Pr2PtO6 after structural relaxation (GGA-PBE).

Structure (POSCAR):
```
Sr2Pr2PtO6
1.0
6.2477 -3.0213 0.0000
6.2477 3.0213 0.0000
4.7867 0.0000 5.0249
Sr Pr Pt O
2 2 1 6
direct
0.1646 0.1646 0.1646
0.8354 0.8354 0.8354
0.6415 0.6415 0.6415
0.3585 0.3585 0.3585
0.0000 0.0000 0.0000
0.7639 0.4213 0.0346
0.4213 0.0346 0.7639
0.0346 0.7639 0.4213
0.2361 0.5787 0.9654
0.5787 0.9654 0.2361
0.9654 0.2361 0.5787
```

## Properties
ρ	6549	kg/m³
spin magnetization	2.000	μB per cell
energy of formation	-2727	meV/atom

---

Entry from the Materials Project: RbPrO2 after structural relaxation (GGA-PBE).

Structure (POSCAR):
```
RbPrO2
1.0
1.1247 4.9530 -4.7285
-2.4588 5.2454 -3.8204
0.1360 6.7427 -1.6349
Rb Pr O
1 1 2
direct
0.0000 0.0000 0.0000
0.5000 0.5000 0.5000
0.2271 0.2271 0.2271
0.7729 0.7729 0.7729
```

## Properties
ρ	5458	kg/m³
energy of formation	-2871	meV/atom

---

Entry from the Materials Project: RbPrS2O12 after structural relaxation (GGA-PBE).

Structure (POSCAR):
```
RbPrS2O12
1.0
20.3026 0.0000 0.0000
0.0000 6.4302 0.0000
0.0000 0.7789 9.0315
Rb Pr S O
4 4 8 48
direct
0.2127 0.8390 0.6284
0.7873 0.1610 0.3716
0.7127 0.1610 0.8716
0.2873 0.8390 0.1284
0.3648 0.3723 0.7898
0.6352 0.6277 0.2102
0.8648 0.6277 0.7102
0.1352 0.3723 0.2898
0.2197 0.3797 0.9106
0.7803 0.6203 0.0894
0.7197 0.6203 0.5894
0.2803 0.3797 0.4106
0.4261 0.8108 0.7752
0.5739 0.1892 0.2248
0.9261 0.1892 0.7248
0.0739 0.8108 0.2752
0.1238 0.1745 0.5342
0.8762 0.8255 0.4658
0.6238 0.8255 0.9658
0.3762 0.1745 0.0342
0.4231 0.6533 0.9079
0.5769 0.3467 0.0921
0.9231 0.3467 0.5921
0.0769 0.6533 0.4079
0.7605 0.8131 0.6128
0.2395 0.1869 0.3872
0.2605 0.1869 0.8872
0.7395 0.8131 0.1128
0.4776 0.3264 0.6322
0.5224 0.6736 0.3678
0.9776 0.6736 0.8678
0.0224 0.3264 0.1322
0.0811 0.7615 0.8264
0.9189 0.2385 0.1736
0.5811 0.2385 0.6736
0.4189 0.7615 0.3264
0.1653 0.4031 0.8057
0.8347 0.5969 0.1943
0.6653 0.5969 0.6943
0.3347 0.4031 0.3057
0.3867 0.7168 0.6568
0.6133 0.2832 0.3432
0.8867 0.2832 0.8432
0.1133 0.7168 0.1568
0.3026 0.3641 0.5672
0.6974 0.6359 0.4328
0.8026 0.6359 0.9328
0.1974 0.3641 0.0672
0.2681 0.5591 0.8861
0.7319 0.4409 0.1139
0.7681 0.4409 0.6139
0.2319 0.5591 0.3861
0.4927 0.8666 0.7306
0.5073 0.1334 0.2694
0.9927 0.1334 0.7694
0.0073 0.8666 0.2306
0.0255 0.7231 0.7732
0.9745 0.2769 0.2268
0.5255 0.2769 0.7268
0.4745 0.7231 0.2732
0.3874 0.0041 0.8109
0.6126 0.9959 0.1891
0.8874 0.9959 0.6891
0.1126 0.0041 0.3109
```

## Properties
ρ	2718	kg/m³
spin magnetization	8.001	μB per cell
energy of formation	-1268	meV/atom

---

Which formula does entry 3 have?
PrO2

---

What did the sixth record say?
Entry from the Materials Project: Pr9O16 after structural relaxation (GGA-PBE).

Structure (POSCAR):
```
Pr9O16
1.0
-4.1728 2.5162 -4.8621
0.0288 -5.4955 -4.3540
-7.5508 -4.7856 1.9409
Pr O
9 16
direct
0.6719 0.3092 0.6719
0.3281 0.6908 0.3281
0.4087 0.2384 0.1009
0.2300 0.1244 0.5269
0.0000 0.0000 0.0000
0.1072 0.5213 0.7730
0.8928 0.4787 0.2270
0.5913 0.7616 0.8991
0.7700 0.8756 0.4731
0.0708 0.2956 0.0448
0.7793 0.6119 0.7024
0.5277 0.0053 0.6632
0.6465 0.5811 0.4289
0.9292 0.7044 0.9552
0.1242 0.8056 0.5460
0.3535 0.4189 0.5711
0.9743 0.7868 0.2569
0.6681 0.0875 0.9401
0.2207 0.3881 0.2976
0.0257 0.2132 0.7431
0.4237 0.4967 0.8581
0.4723 0.9947 0.3368
0.5763 0.5033 0.1419
0.8758 0.1944 0.4540
0.3319 0.9125 0.0599
```

## Properties
ρ	6077	kg/m³
spin magnetization	4.999	μB per cell
energy of formation	-3313	meV/atom